The following is a GGA+U calculation of an optimized crystal structure of Ba2La6Mg4Ti3WO24, from Materials Project.

Unit cell a=10.3655 b=5.5844 c=37.7641 alpha=90.00 beta=90.36 gamma=90.00
Last column: nearest neighbours and their distance in Å.
Space group C2/m (No. 12)
Inequivalent atoms, fractional coordinates:
Ba  0.0112  0.0000  0.4064  9 O 2.79-3.08
Ba  0.1609  0.5000  0.5313  12 O 2.80-2.99
La  0.0053  0.5000  0.7951  6 O 2.37-2.65
La  0.0838  0.0000  0.1526  3 O 2.24-2.45
La  0.1073  0.0000  0.7166  4 O 2.24-2.43
La  0.1174  0.5000  0.6386  3 O 2.17-2.35
La  0.1474  0.5000  0.0842  3 O 2.24-2.46
La  0.2296  0.0000  0.0374  6 O 2.37-2.53
Mg  0.0000  0.0000  0.5000  6 O 2.12-2.19
Mg  0.0000  0.5000  0.0000  4 O 1.99
Mg  0.1199  0.5000  0.8788  4 O 2.01-2.02
Mg  0.1519  0.0000  0.3138  4 O 1.97-2.00
Mg  0.1941  0.0000  0.2389  4 O 1.97-2.00
Ti  0.0658  0.0000  0.9424  5 O 1.92-1.98
Ti  0.1107  0.5000  0.3027  6 O 1.90-2.05
Ti  0.2019  0.0000  0.8154  5 O 1.88-1.97
W  0.1762  0.5000  0.4364  6 O 1.89-2.04
O  0.0093  0.5000  0.4074  1 W 2.04, 1 La 2.17
O  0.0246  0.5000  0.7315  1 Ti 1.90
O  0.0312  0.2490  0.3327  1 Ti 1.99, 1 Mg 2.00
O  0.0426  0.2506  0.0359  1 Ti 1.98, 1 Mg 1.99
O  0.0728  0.0000  0.7801  1 Ti 1.88
O  0.0859  0.2581  0.4663  1 W 2.00, 1 Mg 2.12
O  0.0985  0.0000  0.0935  1 Ti 2.17, 1 La 2.24
O  0.1116  0.2444  0.8412  1 Ti 1.92, 1 Mg 2.01
O  0.1115  0.5000  0.1426  1 La 2.24, 1 Ti 2.49
O  0.1570  0.2497  0.9160  1 Ti 1.96, 1 Mg 2.02
O  0.1762  0.0000  0.5325  1 W 1.92
O  0.1799  0.2516  0.2025  1 Mg 1.97, 1 Ti 1.97
O  0.2078  0.2378  0.2785  2 Mg 1.97-2.00, 1 Ti 2.00
O  0.2096  0.0000  0.9748  1 Ti 1.92
O  0.2249  0.0000  0.6670  1 Ti 2.05, 1 La 2.24
O  0.2453  0.2539  0.4080  1 W 1.89

Output
VASP energy, eV for the cell shown: -1214.80
ΔH_f (0 K), kJ/mol of atoms: -312
Energy relative to the lowest polymorph listed for this composition, eV/atom: 0.2066
Crystal system: monoclinic